## Ce4S3O4 (PBE-GGA)

Data for an optimized crystal structure of Ce4S3O4.

```
data_Ce4S3O4
_space_group_name_H-M_alt 'P b a m'
_space_group_IT_number 55
_cell_length_a 6.843
_cell_length_b 14.783
_cell_length_c 3.953
_cell_angle_alpha 90.00
_cell_angle_beta 90.00
_cell_angle_gamma 90.00
loop_
_space_group_symop_operation_xyz
'x,y,z'
'-x,-y,-z'
'-x,-y,z'
'x,y,-z'
'x+1/2,-y+1/2,-z'
'-x+1/2,y+1/2,z'
'-x+1/2,y+1/2,-z'
'x+1/2,-y+1/2,z'
loop_
_atom_site_label
_atom_site_type_symbol
_atom_site_fract_x
_atom_site_fract_y
_atom_site_fract_z
Ce1 Ce 0.208 0.157 0.000
Ce2 Ce 0.219 0.922 0.500
S1 S 0.000 0.500 0.000
S2 S 0.002 0.280 0.500
O1 O 0.117 0.877 0.000
O2 O 0.141 0.073 0.500
```

As for the calculated formation energy: -36.109 eV/f.u.

## Ce4Si2S3O7 (PBE-GGA)

Data for an optimized crystal structure of Ce4Si2S3O7.

```
data_Ce4Si2S3O7
_space_group_name_H-M_alt 'I 41/a m d'
_space_group_IT_number 141
_cell_length_a 12.069
_cell_length_b 12.069
_cell_length_c 14.282
_cell_angle_alpha 90.00
_cell_angle_beta 90.00
_cell_angle_gamma 90.00
loop_
_space_group_symop_operation_xyz
'x,y,z'
'-x,-y,-z'
'-y+1/4,x+3/4,z+1/4'
'y+1/4,-x+3/4,-z+1/4'
'-x+1/2,-y,z+1/2'
'x+1/2,y,-z+1/2'
'y+1/4,-x+1/4,z+3/4'
'-y+1/4,x+1/4,-z+3/4'
'x,-y,-z'
'-x,y,z'
'-y+1/4,-x+1/4,-z+3/4'
'y+1/4,x+1/4,z+3/4'
'-x+1/2,y,-z+1/2'
'x+1/2,-y,z+1/2'
'y+1/4,x+3/4,-z+1/4'
'-y+1/4,-x+3/4,z+1/4'
'x+1/2,y+1/2,z+1/2'
'-x+1/2,-y+1/2,-z+1/2'
'-y+3/4,x+1/4,z+3/4'
'y+3/4,-x+1/4,-z+3/4'
'-x,-y+1/2,z'
'x,y+1/2,-z'
'y+3/4,-x+3/4,z+1/4'
'-y+3/4,x+3/4,-z+1/4'
'x+1/2,-y+1/2,-z+1/2'
'-x+1/2,y+1/2,z+1/2'
'-y+3/4,-x+3/4,-z+1/4'
'y+3/4,x+3/4,z+1/4'
'-x,y+1/2,-z'
'x,-y+1/2,z'
'y+3/4,x+1/4,-z+3/4'
'-y+3/4,-x+1/4,z+3/4'
loop_
_atom_site_label
_atom_site_type_symbol
_atom_site_fract_x
_atom_site_fract_y
_atom_site_fract_z
Ce1 Ce 0.000 0.015 0.343
Ce2 Ce 0.172 0.078 0.875
Si1 Si 0.000 0.126 0.097
S1 S 0.000 0.250 0.375
S2 S 0.000 0.250 0.875
S3 S 0.149 0.000 0.500
O1 O 0.000 0.024 0.174
O2 O 0.000 0.250 0.146
O3 O 0.119 0.110 0.043
```

As for the calculated formation energy: -50.847 eV/f.u.

## Ce20Ti11S44O6 (PBE-GGA)

Data for an optimized crystal structure of Ce20Ti11S44O6.

```
data_Ce20Ti11S44O6
_space_group_name_H-M_alt 'P m m n'
_space_group_IT_number 59
_cell_length_a 14.155
_cell_length_b 22.441
_cell_length_c 10.311
_cell_angle_alpha 90.00
_cell_angle_beta 90.00
_cell_angle_gamma 90.00
loop_
_space_group_symop_operation_xyz
'x,y,z'
'-x,-y,-z'
'-x+1/2,-y+1/2,z'
'x+1/2,y+1/2,-z'
'x+1/2,-y,-z'
'-x+1/2,y,z'
'-x,y+1/2,-z'
'x,-y+1/2,z'
loop_
_atom_site_label
_atom_site_type_symbol
_atom_site_fract_x
_atom_site_fract_y
_atom_site_fract_z
Ce1 Ce 0.037 0.165 0.136
Ce2 Ce 0.040 0.161 0.549
Ce3 Ce 0.054 0.531 0.169
Ce4 Ce 0.250 0.031 0.434
Ce5 Ce 0.250 0.032 0.881
Ce6 Ce 0.250 0.659 0.456
Ce7 Ce 0.250 0.660 0.868
Ti1 Ti 0.098 0.250 0.838
Ti2 Ti 0.116 0.562 0.655
Ti3 Ti 0.134 0.750 0.166
Ti4 Ti 0.250 0.250 0.041
Ti5 Ti 0.250 0.250 0.339
Ti6 Ti 0.250 0.250 0.639
S1 S 0.009 0.669 0.167
S2 S 0.064 0.075 0.336
S3 S 0.077 0.250 0.344
S4 S 0.090 0.066 0.003
S5 S 0.114 0.571 0.416
S6 S 0.115 0.750 0.399
S7 S 0.116 0.750 0.929
S8 S 0.118 0.671 0.661
S9 S 0.119 0.048 0.664
S10 S 0.121 0.569 0.897
S11 S 0.250 0.164 0.497
S12 S 0.250 0.167 0.179
S13 S 0.250 0.181 0.838
S14 S 0.250 0.510 0.172
S15 S 0.250 0.670 0.162
O1 O 0.108 0.250 0.030
O2 O 0.109 0.250 0.646
O3 O 0.250 0.562 0.642
```

As for the calculated formation energy: -185.198 eV/f.u.

## CeScO3 (PBE-GGA)

Data for an optimized crystal structure of CeScO3.

```
data_CeScO3
_space_group_name_H-M_alt 'P n m a'
_space_group_IT_number 62
_cell_length_a 5.838
_cell_length_b 8.067
_cell_length_c 5.636
_cell_angle_alpha 90.00
_cell_angle_beta 90.00
_cell_angle_gamma 90.00
loop_
_space_group_symop_operation_xyz
'x,y,z'
'-x,-y,-z'
'-x+1/2,-y,z+1/2'
'x+1/2,y,-z+1/2'
'x+1/2,-y+1/2,-z+1/2'
'-x+1/2,y+1/2,z+1/2'
'-x,y+1/2,-z'
'x,-y+1/2,z'
loop_
_atom_site_label
_atom_site_type_symbol
_atom_site_fract_x
_atom_site_fract_y
_atom_site_fract_z
Ce1 Ce 0.058 0.250 0.015
Sc1 Sc 0.000 0.000 0.500
O1 O 0.043 0.750 0.386
O2 O 0.197 0.560 0.805
```

As for the calculated formation energy: -19.279 eV/f.u.

## Ce10Se14O (PBE-GGA)

Data for an optimized crystal structure of Ce10Se14O.

```
data_Ce10Se14O
_space_group_name_H-M_alt 'I 41/a c d'
_space_group_IT_number 142
_cell_length_a 15.720
_cell_length_b 15.720
_cell_length_c 20.751
_cell_angle_alpha 90.00
_cell_angle_beta 90.00
_cell_angle_gamma 90.00
loop_
_space_group_symop_operation_xyz
'x,y,z'
'-x,-y,-z'
'-y+1/4,x+3/4,z+1/4'
'y+1/4,-x+3/4,-z+1/4'
'-x+1/2,-y,z+1/2'
'x+1/2,y,-z+1/2'
'y+1/4,-x+1/4,z+3/4'
'-y+1/4,x+1/4,-z+3/4'
'x,-y,-z+1/2'
'-x,y,z+1/2'
'-y+1/4,-x+1/4,-z+1/4'
'y+1/4,x+1/4,z+1/4'
'-x+1/2,y,-z'
'x+1/2,-y,z'
'y+1/4,x+3/4,-z+3/4'
'-y+1/4,-x+3/4,z+3/4'
'x+1/2,y+1/2,z+1/2'
'-x+1/2,-y+1/2,-z+1/2'
'-y+3/4,x+1/4,z+3/4'
'y+3/4,-x+1/4,-z+3/4'
'-x,-y+1/2,z'
'x,y+1/2,-z'
'y+3/4,-x+3/4,z+1/4'
'-y+3/4,x+3/4,-z+1/4'
'x+1/2,-y+1/2,-z'
'-x+1/2,y+1/2,z'
'-y+3/4,-x+3/4,-z+3/4'
'y+3/4,x+3/4,z+3/4'
'-x,y+1/2,-z+1/2'
'x,-y+1/2,z+1/2'
'y+3/4,x+1/4,-z+1/4'
'-y+3/4,-x+1/4,z+1/4'
loop_
_atom_site_label
_atom_site_type_symbol
_atom_site_fract_x
_atom_site_fract_y
_atom_site_fract_z
Ce1 Ce 0.004 0.121 0.310
Ce2 Ce 0.131 0.027 0.548
Ce3 Ce 0.134 0.116 0.125
Se1 Se 0.022 0.119 0.002
Se2 Se 0.039 0.071 0.672
Se3 Se 0.145 0.000 0.250
Se4 Se 0.157 0.070 0.407
O1 O 0.000 0.250 0.375
```

As for the calculated formation energy: -48.882 eV/f.u.

## Ce2Se4O17 (PBE-GGA)

Data for an optimized crystal structure of Ce2Se4O17.

```
data_Ce2Se4O17
_space_group_name_H-M_alt 'C 1 c 1'
_space_group_IT_number 9
_cell_length_a 12.318
_cell_length_b 16.228
_cell_length_c 9.412
_cell_angle_alpha 90.00
_cell_angle_beta 129.30
_cell_angle_gamma 90.00
loop_
_space_group_symop_operation_xyz
'x,y,z'
'x,-y,z+1/2'
'x+1/2,y+1/2,z'
'x+1/2,-y+1/2,z+1/2'
loop_
_atom_site_label
_atom_site_type_symbol
_atom_site_fract_x
_atom_site_fract_y
_atom_site_fract_z
Ce1 Ce 0.000 0.041 0.000
Ce2 Ce 0.003 0.363 0.502
Se1 Se 0.113 0.163 0.797
Se2 Se 0.205 0.452 0.982
Se3 Se 0.297 0.049 0.517
Se4 Se 0.391 0.337 0.705
O1 O 0.012 0.238 0.651
O2 O 0.062 0.071 0.690
O3 O 0.093 0.160 0.957
O4 O 0.105 0.480 0.485
O5 O 0.106 0.381 0.821
O6 O 0.187 0.094 0.312
O7 O 0.211 0.005 0.070
O8 O 0.227 0.321 0.625
O9 O 0.281 0.178 0.892
O10 O 0.288 0.498 0.420
O11 O 0.316 0.407 0.185
O12 O 0.362 0.205 0.304
O13 O 0.389 0.121 0.679
O14 O 0.402 0.340 0.537
O15 O 0.404 0.015 0.018
O16 O 0.441 0.432 0.801
O17 O 0.497 0.265 0.855
```

As for the calculated formation energy: -37.407 eV/f.u.